[1]
A relaxed Na3AlSn3P6O24 crystal. Source: Materials Project, functional PBE. Values from VASP.

## Properties
Formation energy = -2.617 eV/atom
Total energy after the MP2020 corrections = -803.4 eV for the cell shown
Total magnetization = 0.00 μB per formula unit
Total energy = -6.792 eV per atom

Quantum ESPRESSO input file:
```
&SYSTEM
  ibrav = 0, nat = 111, ntyp = 5
/
ATOMIC_SPECIES
O 16.00 O.upf
P 30.97 P.upf
Sn 118.71 Sn.upf
Al 26.98 Al.upf
Na 22.99 Na.upf
CELL_PARAMETERS angstrom
8.696 -0.007 0.000
-4.354 7.520 0.000
0.000 0.001 22.511
ATOMIC_POSITIONS angstrom
O 1.601 0.273 6.868
O 2.841 7.385 9.164
O 3.717 6.073 13.274
O 6.958 0.301 18.132
O -1.697 4.687 8.155
O 0.585 1.396 9.152
O -3.269 6.185 15.619
O -0.636 6.648 19.363
P 5.593 0.360 1.941
Sn -0.045 5.016 18.357
Al 4.400 2.498 4.178
P -2.586 5.081 9.366
O 4.963 6.065 2.015
O 7.662 1.305 6.941
O 3.418 3.743 20.740
O -1.741 5.320 10.642
O -0.620 3.552 5.786
O -0.939 6.293 5.757
O 5.242 1.288 16.645
Na 4.350 2.502 7.411
P 1.327 2.192 16.855
P 1.860 2.499 1.952
O 0.608 1.619 15.627
Na 4.386 2.444 18.749
P 5.611 5.266 16.842
P 7.368 2.137 5.670
O 0.554 3.374 10.586
O -3.456 6.310 9.138
O 1.549 4.778 13.081
P -1.277 7.219 20.652
O 1.748 4.760 19.312
O 1.565 0.185 13.271
O -2.652 7.258 4.371
O 1.084 3.644 8.076
O 3.720 1.041 14.404
O -1.103 3.645 19.362
P 1.326 7.204 9.365
O 2.654 7.197 15.649
P 1.266 2.765 9.337
O 0.580 6.472 1.832
Al 4.371 2.464 15.415
O -0.974 3.782 13.069
O 1.579 5.111 5.777
P 3.140 5.320 5.657
Sn 4.332 7.497 3.326
O 0.702 3.622 16.996
O 2.842 2.377 16.662
P 3.102 0.352 13.194
O -0.571 1.602 4.429
O 4.986 4.122 0.610
O 4.965 1.041 3.154
O 3.735 3.900 5.474
Al 4.362 7.465 7.873
Sn -0.003 5.028 11.720
O -1.566 4.783 1.832
O 1.131 1.351 18.129
O 7.738 1.253 13.262
O 5.299 3.768 3.152
O 3.379 1.305 5.469
P 3.095 4.658 13.204
O 0.930 6.265 17.003
O 3.417 6.270 20.516
O 6.094 2.262 11.821
Sn 0.003 0.016 14.560
O 7.128 0.189 2.025
O 4.933 3.896 16.653
Sn 0.003 0.013 19.184
O -1.556 5.158 16.985
O -0.627 3.420 21.898
Sn -0.006 5.011 0.506
O 5.912 2.695 14.374
O 1.671 5.261 21.866
O 5.055 1.113 9.504
P 6.116 0.064 16.859
Sn 4.346 2.504 22.121
O 3.738 6.005 6.889
O -1.077 6.348 21.897
O 5.882 2.672 20.751
O 0.938 1.258 2.024
O -0.588 6.469 13.086
Na 4.341 7.512 0.039
Na -4.312 7.460 11.225
O 3.724 1.093 20.751
O 3.709 4.115 11.896
O 0.608 6.636 8.136
O 1.126 6.356 10.641
Na 1.598 2.731 5.567
O 3.248 6.170 4.383
P 6.832 2.504 13.172
O 4.902 5.851 18.103
O 5.434 1.137 0.612
P 2.542 5.004 20.634
O 3.370 3.807 14.451
O 2.734 2.692 3.201
O 2.634 2.251 0.637
P -1.283 2.812 20.655
P 5.581 4.648 1.939
Na -0.043 5.072 3.722
O 0.978 3.777 1.834
O 3.256 1.131 11.868
O 5.276 3.759 9.511
P 2.513 0.030 5.643
Na 2.785 4.767 16.842
O -0.620 1.424 20.530
Sn -0.023 5.059 7.064
Na -0.071 5.018 14.980
O 2.793 2.657 9.484
O 5.863 2.291 5.457
Na 7.134 2.256 9.330
O -2.810 7.337 20.521
Sn 4.305 2.504 10.863
```

=====

[2]
A relaxed Na2Ta5Al3P12O48 crystal. Source: Materials Project, functional PBE. Values from VASP.

## Properties
Formation energy = -3.006 eV/atom
Total energy after the MP2020 corrections = -1758.1 eV for the cell shown
Total magnetization = 0.00 μB per formula unit
Total energy = -7.901 eV per atom

Quantum ESPRESSO input file:
```
&SYSTEM
  ibrav = 0, nat = 210, ntyp = 5
/
ATOMIC_SPECIES
O 16.00 O.upf
Al 26.98 Al.upf
P 30.97 P.upf
Ta 180.95 Ta.upf
Na 22.99 Na.upf
CELL_PARAMETERS angstrom
17.223 -0.001 0.002
-4.306 7.460 0.002
0.003 0.007 22.287
ATOMIC_POSITIONS angstrom
O 4.892 5.946 17.950
O 0.584 1.430 9.040
O 9.227 3.489 10.523
Al 12.954 2.518 15.302
O 5.820 2.300 5.387
O 10.226 0.229 6.805
O 14.499 2.759 14.274
O 4.866 1.029 3.128
Al 12.921 7.448 7.915
O 11.962 3.740 20.591
P -1.176 7.069 20.370
O 9.643 1.270 17.943
O 11.432 2.298 16.530
O 3.727 5.936 6.797
P 6.043 0.006 16.708
P -1.210 2.901 20.362
P 2.980 4.558 13.052
Al 12.900 2.496 4.210
P 11.026 4.979 20.492
O 2.688 7.239 15.490
O 5.852 2.734 14.282
P 2.394 4.965 20.365
P 2.448 0.095 5.617
P 10.453 2.584 1.918
O 5.284 6.196 9.071
P 1.884 2.466 1.950
Ta 8.607 0.015 7.931
O -0.986 3.761 19.149
O 11.316 7.254 15.474
O 10.196 4.738 19.201
O -1.579 5.211 10.553
O 11.390 7.254 9.038
O -2.711 7.251 20.223
Na -0.002 4.976 14.835
O -1.513 5.162 16.902
Ta 0.043 0.028 14.306
O 12.330 5.961 6.838
P 11.186 0.002 5.582
O 4.934 5.981 2.072
O -1.586 4.737 8.061
O 1.000 3.734 8.053
Ta 4.264 7.442 14.301
O 16.258 1.289 13.233
O 13.518 3.979 0.627
O 8.014 3.574 5.754
O 1.551 4.733 19.144
Ta 12.921 2.472 21.842
O 1.597 5.189 21.662
O 11.922 1.238 11.782
O 3.673 5.970 13.220
O -0.613 3.495 21.656
O 7.611 3.726 19.197
O 7.692 6.189 5.753
O 12.314 5.983 13.230
O 11.316 2.290 0.624
P 6.697 2.524 13.058
P 9.831 2.904 9.226
O 13.528 5.993 2.053
O 7.018 5.161 16.917
O 13.895 3.700 3.131
O 2.769 2.734 3.134
O 3.379 1.291 5.384
P 3.111 5.252 5.543
O 11.913 6.166 4.358
O 7.068 4.725 8.003
O 9.540 3.776 1.674
O 9.601 3.751 8.009
O 12.000 1.269 5.391
Na 4.283 2.460 7.314
Ta 8.621 4.980 18.008
O 9.604 6.244 10.500
P 9.938 2.124 16.673
O 10.194 0.218 13.231
Al 4.274 2.466 15.293
P 11.727 0.418 13.074
O -1.585 4.748 1.666
Ta 4.307 2.514 21.827
O 14.413 2.279 5.386
O 1.006 1.293 17.949
P 5.481 5.253 16.685
O 10.172 5.191 21.711
P 1.200 7.048 9.339
Ta -0.039 4.948 6.876
O 9.219 1.482 9.079
P 1.282 2.230 16.709
O 8.010 1.492 20.240
Na 4.294 2.472 18.445
Ta -4.285 7.457 19.069
O 3.330 6.195 20.219
Al -0.015 4.947 11.577
O 5.887 7.250 20.229
Ta 12.974 2.483 10.617
Ta -0.004 4.965 0.575
O 8.027 6.467 19.197
O -0.554 6.449 19.150
O 9.234 1.493 15.470
O 12.315 1.032 20.583
O 13.880 3.763 9.470
P 14.079 0.301 1.934
P 5.618 4.586 1.928
P 11.669 5.266 5.668
O 15.609 0.264 17.948
P 5.520 0.398 1.936
P 3.176 0.298 13.044
O 3.343 3.739 20.563
Ta 8.658 0.019 3.208
O 3.332 6.176 4.328
O 0.593 3.489 10.550
O -0.968 6.254 21.663
O 0.618 1.524 15.489
O 0.971 6.228 10.572
Na 8.643 4.978 3.756
Al 4.317 2.481 4.204
O 0.918 6.198 16.904
P 9.918 7.060 9.175
P -2.455 5.089 9.321
P 7.403 7.059 20.485
Al 8.652 5.000 6.929
Ta 12.871 7.434 3.265
O 9.569 6.272 16.914
O 7.605 1.290 6.800
O 5.872 2.699 20.590
O 7.001 0.229 17.948
P 14.111 4.582 1.942
O 2.795 2.309 16.537
O 5.224 1.276 16.538
O 13.465 1.000 3.123
O 14.520 2.279 11.786
O 13.533 1.016 9.448
O 1.590 5.162 5.760
O 3.335 1.207 11.776
O 1.574 0.273 6.828
O 12.318 3.897 5.390
P 7.413 2.903 20.490
O 1.614 0.204 13.214
O -3.302 6.178 15.484
O 12.326 3.967 11.780
P -3.020 5.248 16.700
Al -0.005 4.976 18.062
O 3.754 0.986 14.268
O 5.292 6.180 15.477
O 8.018 3.527 21.715
O 14.476 2.705 20.569
O 2.721 2.687 9.463
O 5.932 7.240 4.345
Ta 8.635 5.011 11.670
O 3.687 3.980 11.781
O 11.350 2.753 3.116
O 7.643 6.222 21.711
O 0.600 3.577 16.904
O 7.634 3.729 12.808
O -0.566 6.372 12.821
O 9.180 6.379 1.678
O 13.532 5.949 17.949
O 7.107 4.766 1.677
Al 8.616 4.982 0.517
O 3.737 3.884 5.379
P 6.213 4.965 9.214
Na 12.935 2.518 7.292
O 3.716 1.042 20.572
O -0.639 3.487 5.769
O 11.937 6.202 20.232
O 4.880 3.878 16.529
Na 12.932 2.513 18.467
P 7.334 2.230 5.565
P 14.732 0.094 16.676
O 0.583 6.482 8.050
P 11.718 4.563 13.066
O -3.362 6.245 9.050
O 11.933 3.708 14.286
O 7.016 5.186 10.518
O 15.626 0.196 2.062
O -2.705 7.262 4.336
O 10.197 4.756 12.823
P 15.388 2.585 13.055
O 9.249 3.498 16.914
O 4.922 1.035 9.460
P 1.122 2.799 9.306
O -0.965 6.270 5.782
O 2.716 2.261 0.636
O 0.963 1.254 2.064
Ta 8.597 0.015 19.085
O -0.926 3.777 12.825
O 7.628 1.285 13.215
P 15.905 2.068 5.626
O 10.132 5.161 5.761
O 3.291 3.719 14.277
O -0.629 1.493 4.339
O 13.517 3.894 16.540
O -0.606 1.484 20.211
O 13.886 1.195 0.633
O 5.270 3.736 9.429
O 5.320 3.707 3.121
O 5.886 2.264 11.772
O 2.726 7.243 9.091
O 11.360 2.696 9.436
O 1.497 4.768 12.825
O 4.934 3.971 0.633
O 9.161 6.447 8.013
O 8.009 6.465 12.829
O 7.041 0.211 2.064
O 0.603 6.456 1.666
Ta 4.253 2.494 10.642
O 13.832 1.299 16.529
O 12.354 1.035 14.293
O 9.583 1.291 2.058
O 16.203 1.229 6.837
O 5.295 1.222 0.627
O 7.996 1.510 4.337
O 0.992 3.711 1.665
```

=====

[3]
A relaxed Na4TaAl3P6O24 crystal. Source: Materials Project, functional PBE. Values from VASP.

## Properties
Energy above the most stable polymorph in this dataset = 0.000 eV/atom
Formation energy = -2.934 eV/atom
Total energy after the MP2020 corrections = -291.1 eV for the cell shown
Total magnetization = 0.00 μB per formula unit
Total energy = -7.226 eV per atom

Quantum ESPRESSO input file:
```
&SYSTEM
  ibrav = 0, nat = 38, ntyp = 5
/
ATOMIC_SPECIES
O 16.00 O.upf
Na 22.99 Na.upf
Ta 180.95 Ta.upf
P 30.97 P.upf
Al 26.98 Al.upf
CELL_PARAMETERS angstrom
-3.941 -7.384 -1.883
2.854 -7.358 3.367
-4.730 -4.009 6.147
ATOMIC_POSITIONS angstrom
O -1.076 -10.768 3.024
Na -6.204 -9.377 3.583
O -0.625 -11.714 5.282
O -3.839 -13.664 7.664
O -1.210 -8.214 2.500
O -1.132 -10.217 7.526
O -4.664 -10.531 5.056
Ta -2.945 -14.364 3.862
O -4.714 -7.936 4.640
O -1.941 -4.987 -0.073
O -5.809 -12.634 6.005
O -5.344 -10.589 1.525
P -5.257 -6.678 3.944
O -2.879 -8.966 6.224
Al -4.814 -8.938 6.308
P -5.270 -11.940 4.774
O -1.786 -5.960 3.382
O -0.078 -3.443 1.215
O 0.495 -6.936 3.842
Al -1.042 -9.760 1.385
O -5.221 -7.045 2.407
P -0.683 -6.808 2.767
O -5.703 -15.364 6.496
Na -2.827 -9.276 3.786
P -4.225 -10.047 0.614
O -4.698 -8.600 0.126
Na -4.653 -4.141 6.133
P -0.489 -11.963 3.771
P -1.631 -8.802 7.104
O -6.357 -11.793 3.694
Na -2.966 -11.374 6.418
O -2.960 -9.861 1.448
O -0.537 -8.135 6.193
O -4.037 -12.758 4.230
O -4.377 -5.437 4.195
Al -2.778 -4.452 3.653
O -1.374 -13.243 3.417
O 0.000 -6.187 1.546
```